Compound: AlH16C2S2NO14
Source: the Materials Project database
Functional: GGA-PBE
Structure: optimized geometry

Volume: 10.896 A^3/atom
ΔE_f: -1.254 eV/atom
Magnetization: 0.00 Bohr magnetons per cell
Space-group type: Pc (7)

Cell and atoms, written as POSCAR:
```
AlH16C2S2NO14
1.0
-8.725 -1.624 -6.080
0.742 -6.442 0.655
-5.892 -4.389 9.627
H O S N Al C
32 28 4 2 2 4
Cartesian
-3.903 -8.072 2.627
-10.514 -4.543 0.923
-4.224 -4.044 1.823
-2.196 -1.349 -0.146
-8.448 -5.474 -3.438
-7.239 -5.105 3.366
-7.613 -10.135 7.824
-9.114 -3.831 1.861
-7.197 -6.654 3.932
-12.857 -10.138 3.323
-5.321 -7.592 5.415
-8.357 -3.085 -4.478
-7.393 -2.275 -3.434
-7.206 -6.297 -2.765
-6.131 -10.402 8.940
-9.898 -10.139 5.605
-12.772 -8.537 2.915
-5.633 -3.594 4.659
-9.784 -7.768 4.641
-4.173 -3.952 5.303
-2.331 -4.947 3.325
-9.495 -9.381 -0.270
-5.313 -7.640 1.935
-11.019 -6.955 3.953
-5.484 -4.689 -1.740
-10.871 -11.015 4.637
-4.514 -6.388 6.170
-2.287 -6.525 3.823
-5.045 -5.240 1.078
-3.672 -1.172 -1.213
-5.331 -3.103 -2.170
-8.068 -8.573 0.640
-4.798 -4.138 4.538
-7.469 -5.661 -3.494
-5.480 -4.039 -2.504
-7.413 -2.979 -4.150
-4.725 -6.796 5.285
-10.865 -10.287 5.326
-8.133 -3.729 3.123
-8.108 -7.944 4.483
-10.774 -7.619 4.668
-6.657 -5.905 3.542
-2.859 -5.693 3.725
-8.412 -9.848 5.975
-5.163 -1.530 -1.673
-6.703 -7.466 -1.698
-11.390 -5.809 2.881
-6.191 -7.788 0.656
-5.386 -5.791 -0.486
-12.779 -7.396 1.629
-4.793 -4.860 1.969
-12.927 -11.654 2.917
-11.918 -5.369 0.562
-6.171 -9.013 5.539
-4.715 -7.497 2.745
-3.405 -2.676 1.580
-1.219 -1.731 1.152
-12.791 -9.188 3.670
-1.429 -3.637 2.672
-1.521 -7.885 3.999
-5.685 -7.247 -0.627
-12.458 -5.954 1.836
-7.528 -9.236 4.954
-2.073 -2.375 2.206
-2.616 -1.024 -1.069
-9.615 -3.973 0.919
-6.182 -4.437 -4.229
-4.757 -5.818 3.631
-7.037 -10.816 8.468
-8.675 -9.474 0.461
-8.717 -4.301 -0.210
-7.675 -5.754 7.383
```

Compound: VN
Source: the Materials Project database
Functional: GGA-PBE
Structure: optimized geometry

Volume: 10.935 A^3/atom
ΔE_f: -1.017 eV/atom
Magnetization: 0.62 Bohr magnetons per cell
Space-group type: F-43m (216)

Cell and atoms, written as POSCAR:
```
VN
1.0
1.729 -2.079 1.594
-1.399 -2.334 1.565
0.250 -2.954 -1.033
V N
1 1
Cartesian
0.000 0.000 0.000
0.145 -1.842 0.532
```

Compound: Li5Mg
Source: the Materials Project database
Functional: GGA-PBE
Structure: optimized geometry

Volume: 20.573 A^3/atom
ΔE_f: -0.005 eV/atom
Space-group type: P-6m2 (187)

Cell and atoms, written as POSCAR:
```
Li5Mg
1.0
-2.174 1.183 -1.907
-0.813 -2.044 2.219
-2.200 11.008 9.335
Li Mg
5 1
Cartesian
-2.096 1.985 1.061
-1.462 7.318 6.205
-2.820 5.611 4.136
-0.737 3.690 3.129
-3.545 9.237 7.210
0.000 0.000 0.000
```

Compound: NiP3
Source: the Materials Project database
Functional: GGA-PBE
Structure: optimized geometry

Volume: 14.968 A^3/atom
ΔE_f: -0.303 eV/atom
Space-group type: Im-3 (204)

Cell and atoms, written as POSCAR:
```
NiP3
1.0
-3.912 3.912 3.912
3.912 -3.912 3.912
3.912 3.912 -3.912
P Ni
12 4
Cartesian
2.793 3.912 1.126
1.119 0.000 2.786
0.000 5.038 1.119
1.119 0.000 5.038
5.038 1.119 0.000
1.126 2.793 3.912
-1.126 2.793 3.912
2.786 1.119 0.000
2.793 3.912 -1.126
3.912 -1.126 2.793
0.000 2.786 1.119
3.912 1.126 2.793
1.956 1.956 -1.956
-1.956 1.956 1.956
1.956 1.956 1.956
1.956 -1.956 1.956
```

Compound: NpPt3
Source: the Materials Project database
Functional: GGA-PBE
Structure: optimized geometry

Volume: 17.823 A^3/atom
ΔE_f: -0.415 eV/atom
Magnetization: 0.02 Bohr magnetons per cell
Space-group type: P6_3/mmc (194)

Cell and atoms, written as POSCAR:
```
NpPt3
1.0
4.457 1.557 -3.275
-5.016 -1.378 -2.441
-1.450 4.763 0.291
Pt Np
6 2
Cartesian
-1.567 1.082 -4.153
-0.723 3.950 -4.146
-0.442 3.860 -1.272
-3.809 0.299 -2.506
-1.286 0.992 -1.279
1.799 4.643 -2.919
0.937 1.769 -2.924
-2.946 3.172 -2.501
```

Compound: Ag2S
Source: the Materials Project database
Functional: GGA-PBE
Structure: optimized geometry

Volume: 21.516 A^3/atom
ΔE_f: -0.215 eV/atom
Magnetization: 0.00 Bohr magnetons per cell
Space-group type: Cm (8)

Cell and atoms, written as POSCAR:
```
Ag2S
1.0
2.390 3.518 0.000
-2.390 3.518 0.000
0.000 0.102 7.679
Ag S
4 2
Cartesian
0.000 2.830 2.074
0.000 0.051 3.839
0.000 4.306 5.605
0.000 7.073 7.656
0.000 5.536 1.930
0.000 1.601 5.749
```

Compound: AgSnN
Source: the Materials Project database
Functional: GGA-PBE
Structure: optimized geometry

Volume: 16.996 A^3/atom
ΔE_f: 0.313 eV/atom
Magnetization: 0.00 Bohr magnetons per cell
Space-group type: P6_3mc (186)

Cell and atoms, written as POSCAR:
```
AgSnN
1.0
-1.078 -1.366 -2.813
-1.651 -0.502 2.822
-5.982 8.732 -1.949
N Ag Sn
2 2 2
Cartesian
-1.767 -0.352 -1.097
-4.949 4.303 -0.193
-5.895 5.674 -2.441
-3.095 1.596 0.411
-5.650 2.395 -0.943
-5.912 8.629 -1.926
```

Compound: RbTl2Bi
Source: the Materials Project database
Functional: GGA-PBE
Structure: optimized geometry

Volume: 36.049 A^3/atom
ΔE_f: -0.163 eV/atom
Space-group type: Fm-3m (225)

Cell and atoms, written as POSCAR:
```
RbTl2Bi
1.0
0.000 4.162 4.162
4.162 0.000 4.162
4.162 4.162 0.000
Bi Tl Rb
1 2 1
Cartesian
4.162 4.162 4.162
6.243 6.243 6.243
2.081 2.081 2.081
0.000 0.000 0.000
```

Compound: Li3SiBiBO7
Source: the Materials Project database
Functional: GGA-PBE
Structure: optimized geometry

Volume: 12.016 A^3/atom
ΔE_f: -2.414 eV/atom
Magnetization: 0.08 Bohr magnetons per cell
Space-group type: P2_1/m (11)

Cell and atoms, written as POSCAR:
```
Li3SiBiBO7
1.0
-0.610 -5.829 -3.611
4.961 -1.034 0.831
-1.513 -4.483 7.493
O Li Bi B Si
14 6 2 2 2
Cartesian
1.786 -5.572 -1.150
1.359 -9.029 4.503
1.593 -7.601 2.158
1.480 -2.317 0.210
4.158 -5.742 -1.275
-0.158 -6.439 0.579
1.053 -5.774 5.863
-0.686 -6.595 3.300
-0.907 -8.709 1.990
1.246 -3.745 2.554
3.525 -4.751 1.413
-1.320 -5.604 5.988
3.746 -2.637 2.723
2.996 -4.907 4.134
3.450 -2.495 0.163
-0.611 -8.851 4.549
2.013 -9.700 2.821
0.579 -4.004 0.431
0.826 -1.646 1.891
2.259 -7.342 4.282
2.929 -6.684 0.452
-0.091 -4.662 4.261
-0.145 -6.076 6.553
2.984 -5.270 -1.840
2.866 -4.034 2.747
-0.028 -7.312 1.966
```

Compound: InSb2S4Br
Source: the Materials Project database
Functional: GGA-PBE
Structure: optimized geometry

Volume: 26.461 A^3/atom
ΔE_f: -0.736 eV/atom
Space-group type: C2/m (12)

Cell and atoms, written as POSCAR:
```
InSb2S4Br
1.0
1.956 10.330 0.000
-1.956 10.330 0.000
0.000 6.134 10.475
Br Sb S In
2 4 8 2
Cartesian
0.000 21.778 5.522
0.000 5.015 4.953
0.000 6.639 0.985
0.000 20.155 9.490
0.000 24.475 8.217
0.000 2.319 2.258
0.000 15.861 8.231
0.000 18.652 0.238
0.000 11.932 9.112
0.000 18.436 3.672
0.000 8.358 6.803
0.000 14.862 1.363
0.000 10.933 2.245
0.000 8.142 10.238
0.000 17.188 5.933
0.000 9.605 4.542
```

Compound: RbSr2Br5
Source: the Materials Project database
Functional: GGA-PBE
Structure: optimized geometry

Volume: 34.510 A^3/atom
ΔE_f: -2.394 eV/atom
Space-group type: P2_1/c (14)

Cell and atoms, written as POSCAR:
```
RbSr2Br5
1.0
-5.573 4.955 4.047
-5.868 -0.455 -7.525
-5.987 -11.043 5.275
Br Rb Sr
20 4 8
Cartesian
-10.351 -8.094 -0.901
-11.691 -1.560 -2.464
-9.318 -1.519 0.860
-15.696 -6.182 0.908
-13.256 -6.200 4.184
-4.173 -0.343 -2.387
-7.078 1.551 2.698
-7.986 -2.014 -3.082
-10.350 1.753 -1.587
-10.276 -8.375 5.882
-5.008 -1.955 1.416
-8.111 -5.025 0.936
-7.153 1.832 -4.085
-5.738 -4.983 4.261
-1.733 -0.361 0.888
-7.915 -5.674 -3.069
-9.443 -4.530 4.879
-7.079 -8.296 3.384
-12.421 -4.588 0.381
-9.514 -0.870 4.865
-10.431 -7.095 2.516
-12.340 -2.882 3.623
-5.089 -3.662 -1.827
-6.997 0.552 -0.720
-9.523 -2.641 7.530
-3.979 0.613 3.041
-9.877 -3.773 -1.256
-4.828 -0.079 -5.386
-12.601 -6.465 7.182
-7.552 -2.770 3.052
-7.906 -3.903 -5.734
-13.450 -7.156 -1.244
```

Compound: BaNb2O6
Source: the Materials Project database
Functional: GGA-PBE
Structure: optimized geometry

Volume: 14.787 A^3/atom
ΔE_f: -3.179 eV/atom
Magnetization: 0.00 Bohr magnetons per cell
Space-group type: Pmma (51)

Cell and atoms, written as POSCAR:
```
BaNb2O6
1.0
-2.245 -2.124 2.506
5.085 -2.991 2.019
1.387 7.470 7.574
O Nb Ba
12 4 2
Cartesian
5.098 0.257 4.783
3.652 0.992 7.271
4.377 3.640 7.005
4.701 -1.878 2.618
3.236 2.239 4.796
2.095 0.839 2.588
2.542 -1.496 1.009
0.123 -1.074 2.358
4.104 3.429 9.741
1.374 4.222 4.809
1.771 6.357 6.974
0.575 1.362 4.828
4.793 1.971 5.964
1.679 2.507 3.629
5.270 4.538 8.566
1.202 -0.059 1.027
2.721 -1.252 4.535
1.506 3.606 7.564
```